# 1
{"formula": "LuP3O9", "functional": "GGA-PBE", "state": "relaxed", "m_tot_mub_per_atom": 0.00, "spacegroup": "No. 220", "corrected_energy_ev_per_atom": -8.06, "e_above_lowest_polymorph_mev_per_atom": 0, "cell": [[-7.415, 7.415, 7.415], [7.415, -7.415, 7.415], [7.415, 7.415, -7.415]], "species": ["Lu", "Lu", "Lu", "Lu", "Lu", "Lu", "Lu", "Lu", "P", "P", "P", "P", "P", "P", "P", "P", "P", "P", "P", "P", "P", "P", "P", "P", "P", "P", "P", "P", "P", "P", "P", "P", "O", "O", "O", "O", "O", "O", "O", "O", "O", "O", "O", "O", "O", "O", "O", "O", "O", "O", "O", "O", "O", "O", "O", "O", "O", "O", "O", "O", "O", "O", "O", "O", "O", "O", "O", "O", "O", "O", "O", "O", "O", "O", "O", "O", "O", "O", "O", "O", "O", "O", "O", "O", "O", "O", "O", "O", "O", "O", "O", "O", "O", "O", "O", "O", "O", "O", "O", "O", "O", "O", "O", "O"], "fractional_positions": [[0.000, 0.206, 0.500], [0.000, 0.706, 0.500], [0.206, 0.500, 0.000], [0.294, 0.294, 0.294], [0.500, 0.000, 0.206], [0.500, 0.000, 0.706], [0.706, 0.500, 0.000], [0.794, 0.794, 0.794], [0.040, 0.331, 0.123], [0.084, 0.960, 0.791], [0.123, 0.040, 0.331], [0.169, 0.209, 0.793], [0.207, 0.877, 0.416], [0.209, 0.793, 0.169], [0.291, 0.460, 0.584], [0.293, 0.709, 0.669], [0.331, 0.123, 0.040], [0.377, 0.707, 0.916], [0.416, 0.207, 0.877], [0.460, 0.584, 0.291], [0.540, 0.623, 0.831], [0.584, 0.291, 0.460], [0.623, 0.831, 0.540], [0.669, 0.293, 0.709], [0.707, 0.916, 0.377], [0.709, 0.669, 0.293], [0.791, 0.084, 0.960], [0.793, 0.169, 0.209], [0.831, 0.540, 0.623], [0.877, 0.416, 0.207], [0.916, 0.377, 0.707], [0.960, 0.791, 0.084], [0.000, 0.405, 0.218], [0.000, 0.905, 0.218], [0.022, 0.418, 0.834], [0.079, 0.889, 0.669], [0.082, 0.104, 0.416], [0.084, 0.188, 0.666], [0.090, 0.810, 0.421], [0.095, 0.095, 0.813], [0.095, 0.813, 0.095], [0.104, 0.416, 0.082], [0.111, 0.280, 0.190], [0.166, 0.688, 0.584], [0.169, 0.389, 0.579], [0.187, 0.782, 0.282], [0.188, 0.666, 0.084], [0.190, 0.111, 0.280], [0.218, 0.000, 0.405], [0.218, 0.000, 0.905], [0.220, 0.331, 0.910], [0.280, 0.190, 0.111], [0.282, 0.187, 0.782], [0.282, 0.687, 0.782], [0.310, 0.590, 0.921], [0.312, 0.396, 0.478], [0.313, 0.595, 0.595], [0.331, 0.910, 0.220], [0.334, 0.918, 0.522], [0.389, 0.579, 0.169], [0.396, 0.478, 0.312], [0.405, 0.218, 0.000], [0.405, 0.500, 0.718], [0.410, 0.831, 0.720], [0.416, 0.082, 0.104], [0.418, 0.834, 0.022], [0.421, 0.090, 0.810], [0.478, 0.312, 0.396], [0.500, 0.718, 0.405], [0.500, 0.718, 0.905], [0.522, 0.334, 0.918], [0.579, 0.169, 0.389], [0.582, 0.916, 0.604], [0.584, 0.166, 0.688], [0.590, 0.921, 0.310], [0.595, 0.313, 0.595], [0.595, 0.595, 0.313], [0.604, 0.582, 0.916], [0.611, 0.690, 0.780], [0.666, 0.084, 0.188], [0.669, 0.079, 0.889], [0.687, 0.782, 0.282], [0.688, 0.584, 0.166], [0.690, 0.780, 0.611], [0.718, 0.405, 0.500], [0.718, 0.905, 0.500], [0.720, 0.410, 0.831], [0.780, 0.611, 0.690], [0.782, 0.282, 0.187], [0.782, 0.282, 0.687], [0.810, 0.421, 0.090], [0.812, 0.978, 0.896], [0.813, 0.095, 0.095], [0.831, 0.720, 0.410], [0.834, 0.022, 0.418], [0.889, 0.669, 0.079], [0.896, 0.812, 0.978], [0.905, 0.218, 0.000], [0.905, 0.500, 0.718], [0.910, 0.220, 0.331], [0.916, 0.604, 0.582], [0.918, 0.522, 0.334], [0.921, 0.310, 0.590], [0.978, 0.896, 0.812]]}



# 2
{"formula": "Na42Ca16Nb8Si21S15O144", "functional": "GGA-PBE", "state": "relaxed", "m_tot_mub_per_atom": 0.00, "spacegroup": "No. 1", "corrected_energy_ev_per_atom": -6.94, "cell": [[9.447, 0.000, 0.000], [-0.007, 16.308, 0.000], [-0.041, -0.210, 22.859]], "species": ["Na", "Na", "Na", "Na", "Na", "Na", "Na", "Na", "Na", "Na", "Na", "Na", "Na", "Na", "Na", "Na", "Na", "Na", "Na", "Na", "Na", "Na", "Na", "Na", "Na", "Na", "Na", "Na", "Na", "Na", "Na", "Na", "Na", "Na", "Na", "Na", "Na", "Na", "Na", "Na", "Na", "Na", "Ca", "Ca", "Ca", "Ca", "Ca", "Ca", "Ca", "Ca", "Ca", "Ca", "Ca", "Ca", "Ca", "Ca", "Ca", "Ca", "Nb", "Nb", "Nb", "Nb", "Nb", "Nb", "Nb", "Nb", "Si", "Si", "Si", "Si", "Si", "Si", "Si", "Si", "Si", "Si", "Si", "Si", "Si", "Si", "Si", "Si", "Si", "Si", "Si", "Si", "Si", "S", "S", "S", "S", "S", "S", "S", "S", "S", "S", "S", "S", "S", "S", "S", "O", "O", "O", "O", "O", "O", "O", "O", "O", "O", "O", "O", "O", "O", "O", "O", "O", "O", "O", "O", "O", "O", "O", "O", "O", "O", "O", "O", "O", "O", "O", "O", "O", "O", "O", "O", "O", "O", "O", "O", "O", "O", "O", "O", "O", "O", "O", "O", "O", "O", "O", "O", "O", "O", "O", "O", "O", "O", "O", "O", "O", "O", "O", "O", "O", "O", "O", "O", "O", "O", "O", "O", "O", "O", "O", "O", "O", "O", "O", "O", "O", "O", "O", "O", "O", "O", "O", "O", "O", "O", "O", "O", "O", "O", "O", "O", "O", "O", "O", "O", "O", "O", "O", "O", "O", "O", "O", "O", "O", "O", "O", "O", "O", "O", "O", "O", "O", "O", "O", "O", "O", "O", "O", "O", "O", "O", "O", "O", "O", "O", "O", "O", "O", "O", "O", "O", "O", "O", "O", "O", "O", "O", "O", "O"], "fractional_positions": [[0.000, 0.000, 0.000], [0.001, 0.306, 0.305], [0.021, 0.686, 0.320], [0.034, 0.318, 0.657], [0.040, 0.652, 0.983], [0.045, 0.344, 0.994], [0.059, 0.008, 0.306], [0.172, 0.499, 0.062], [0.173, 0.178, 0.230], [0.187, 0.167, 0.734], [0.191, 0.511, 0.567], [0.203, 0.821, 0.898], [0.210, 0.817, 0.400], [0.334, 0.666, 0.471], [0.344, 0.000, 0.825], [0.366, 0.695, 0.833], [0.367, 0.340, 0.469], [0.375, 0.662, 0.146], [0.385, 0.307, 0.820], [0.392, 0.998, 0.495], [0.488, 0.806, 0.317], [0.496, 0.501, 0.990], [0.498, 0.163, 0.650], [0.506, 0.196, 0.327], [0.509, 0.839, 0.970], [0.532, 0.501, 0.320], [0.545, 0.169, 0.973], [0.664, 0.324, 0.902], [0.669, 0.325, 0.395], [0.681, 0.998, 0.571], [0.682, 0.012, 0.065], [0.686, 0.667, 0.229], [0.699, 0.676, 0.735], [0.809, 0.508, 0.821], [0.816, 0.168, 0.476], [0.824, 0.831, 0.493], [0.834, 0.818, 0.154], [0.849, 0.187, 0.825], [0.869, 0.803, 0.808], [0.871, 0.499, 0.498], [0.896, 0.165, 0.142], [0.973, 0.663, 0.647], [0.185, 0.167, 0.587], [0.187, 0.834, 0.754], [0.188, 0.172, 0.089], [0.188, 0.503, 0.417], [0.189, 0.505, 0.925], [0.189, 0.831, 0.250], [0.194, 0.176, 0.383], [0.195, 0.176, 0.894], [0.675, 0.676, 0.391], [0.682, 0.005, 0.423], [0.682, 0.667, 0.888], [0.684, 0.004, 0.918], [0.684, 0.331, 0.750], [0.684, 0.333, 0.252], [0.684, 0.672, 0.589], [0.691, 0.665, 0.085], [0.174, 0.502, 0.715], [0.175, 0.832, 0.555], [0.190, 0.500, 0.217], [0.195, 0.830, 0.067], [0.674, 0.331, 0.567], [0.684, 0.001, 0.719], [0.697, 0.004, 0.214], [0.703, 0.338, 0.051], [0.037, 0.651, 0.822], [0.037, 0.678, 0.163], [0.040, 0.985, 0.160], [0.332, 0.353, 0.321], [0.339, 0.651, 0.320], [0.350, 0.320, 0.988], [0.374, 0.678, 0.993], [0.376, 0.339, 0.661], [0.494, 0.838, 0.162], [0.498, 0.175, 0.492], [0.523, 0.822, 0.488], [0.532, 0.152, 0.820], [0.540, 0.851, 0.822], [0.833, 0.178, 0.662], [0.833, 0.484, 0.660], [0.836, 0.150, 0.323], [0.836, 0.514, 0.981], [0.880, 0.166, 0.989], [0.883, 0.842, 0.660], [0.986, 0.340, 0.161], [0.992, 0.666, 0.489], [0.019, 0.321, 0.491], [0.042, 0.009, 0.487], [0.045, 0.356, 0.817], [0.321, 0.682, 0.654], [0.331, 0.009, 0.990], [0.345, 0.984, 0.656], [0.396, 0.002, 0.319], [0.472, 0.503, 0.817], [0.526, 0.483, 0.157], [0.541, 0.510, 0.490], [0.546, 0.180, 0.156], [0.828, 0.857, 0.319], [0.852, 0.823, 0.991], [0.892, 0.506, 0.319], [0.979, 0.006, 0.819], [0.000, 0.484, 0.982], [0.008, 0.149, 0.314], [0.010, 0.849, 0.603], [0.012, 0.829, 0.997], [0.020, 0.487, 0.660], [0.047, 0.271, 0.437], [0.056, 0.085, 0.817], [0.058, 0.728, 0.224], [0.068, 0.064, 0.537], [0.073, 0.921, 0.102], [0.076, 0.941, 0.219], [0.078, 0.937, 0.812], [0.079, 0.281, 0.542], [0.079, 0.406, 0.487], [0.083, 0.260, 0.151], [0.083, 0.427, 0.164], [0.087, 0.078, 0.153], [0.093, 0.399, 0.869], [0.095, 0.609, 0.880], [0.095, 0.755, 0.503], [0.096, 0.404, 0.762], [0.101, 0.586, 0.763], [0.102, 0.043, 0.432], [0.107, 0.742, 0.818], [0.109, 0.593, 0.488], [0.114, 0.274, 0.812], [0.122, 0.741, 0.110], [0.122, 0.927, 0.497], [0.132, 0.592, 0.160], [0.235, 0.602, 0.652], [0.252, 0.272, 0.032], [0.253, 0.265, 0.311], [0.253, 0.928, 0.997], [0.256, 0.732, 0.604], [0.265, 0.266, 0.648], [0.265, 0.741, 0.320], [0.266, 0.418, 0.268], [0.267, 0.765, 0.002], [0.268, 0.599, 0.990], [0.276, 0.589, 0.265], [0.278, 0.044, 0.933], [0.289, 0.429, 0.662], [0.290, 0.608, 0.381], [0.291, 0.069, 0.652], [0.296, 0.395, 0.384], [0.296, 0.946, 0.711], [0.297, 0.932, 0.315], [0.298, 0.725, 0.709], [0.300, 0.065, 0.039], [0.300, 0.416, 0.985], [0.301, 0.933, 0.604], [0.315, 0.081, 0.317], [0.348, 0.833, 0.509], [0.359, 0.151, 0.811], [0.361, 0.270, 0.925], [0.363, 0.487, 0.157], [0.364, 0.501, 0.767], [0.368, 0.848, 0.107], [0.368, 0.848, 0.817], [0.385, 0.494, 0.488], [0.396, 0.495, 0.873], [0.397, 0.161, 0.147], [0.398, 0.162, 0.549], [0.407, 0.820, 0.220], [0.408, 0.196, 0.432], [0.463, 0.700, 0.933], [0.465, 0.319, 0.718], [0.469, 0.664, 0.643], [0.471, 0.670, 0.051], [0.471, 0.995, 0.376], [0.486, 0.993, 0.988], [0.501, 0.003, 0.270], [0.502, 0.348, 0.605], [0.505, 0.348, 0.317], [0.506, 0.988, 0.656], [0.510, 0.772, 0.425], [0.512, 0.652, 0.313], [0.522, 0.323, 0.011], [0.548, 0.582, 0.813], [0.567, 0.434, 0.105], [0.570, 0.221, 0.212], [0.571, 0.433, 0.812], [0.572, 0.564, 0.539], [0.575, 0.447, 0.212], [0.576, 0.569, 0.153], [0.576, 0.897, 0.883], [0.582, 0.108, 0.880], [0.582, 0.928, 0.165], [0.588, 0.915, 0.487], [0.594, 0.545, 0.434], [0.597, 0.089, 0.764], [0.601, 0.263, 0.501], [0.606, 0.766, 0.149], [0.607, 0.097, 0.490], [0.607, 0.917, 0.767], [0.608, 0.242, 0.820], [0.609, 0.769, 0.534], [0.614, 0.224, 0.107], [0.617, 0.428, 0.496], [0.620, 0.764, 0.813], [0.629, 0.096, 0.157], [0.735, 0.093, 0.659], [0.747, 0.242, 0.609], [0.749, 0.425, 0.002], [0.755, 0.538, 0.921], [0.759, 0.775, 0.314], [0.762, 0.092, 0.988], [0.764, 0.241, 0.319], [0.772, 0.084, 0.266], [0.775, 0.905, 0.265], [0.782, 0.253, 0.003], [0.783, 0.577, 0.652], [0.785, 0.900, 0.372], [0.786, 0.109, 0.383], [0.787, 0.928, 0.661], [0.790, 0.761, 0.649], [0.790, 0.784, 0.043], [0.792, 0.436, 0.313], [0.793, 0.908, 0.987], [0.795, 0.442, 0.720], [0.797, 0.420, 0.602], [0.813, 0.585, 0.319], [0.814, 0.584, 0.030], [0.821, 0.229, 0.721], [0.824, 0.774, 0.937], [0.851, 0.987, 0.162], [0.859, 0.328, 0.496], [0.864, 0.347, 0.105], [0.866, 0.651, 0.812], [0.872, 0.674, 0.149], [0.873, 0.008, 0.768], [0.889, 0.349, 0.817], [0.890, 0.988, 0.483], [0.891, 0.651, 0.544], [0.897, 0.331, 0.219], [0.901, 0.996, 0.874], [0.909, 0.694, 0.430], [0.963, 0.189, 0.928], [0.968, 0.495, 0.376], [0.975, 0.833, 0.718], [0.982, 0.146, 0.043], [0.984, 0.850, 0.318], [0.995, 0.170, 0.643], [0.998, 0.509, 0.270]]}



# 3
{"formula": "Sr2Ca3Cu4Bi2O12", "functional": "GGA-PBE", "state": "relaxed", "m_tot_mub_per_atom": 0.00, "spacegroup": "No. 139", "corrected_energy_ev_per_atom": -6.10, "cell": [[-1.907, 1.907, 22.173], [1.907, -1.907, 22.173], [1.907, 1.907, -22.173]], "species": ["Sr", "Sr", "Ca", "Ca", "Ca", "Cu", "Cu", "Cu", "Cu", "Bi", "Bi", "O", "O", "O", "O", "O", "O", "O", "O", "O", "O", "O", "O"], "fractional_positions": [[0.151, 0.151, 0.000], [0.849, 0.849, 0.000], [0.000, 0.000, 0.000], [0.074, 0.074, 0.000], [0.926, 0.926, 0.000], [0.391, 0.391, 0.000], [0.463, 0.463, 0.000], [0.537, 0.537, 0.000], [0.609, 0.609, 0.000], [0.283, 0.283, 0.000], [0.717, 0.717, 0.000], [0.037, 0.537, 0.500], [0.110, 0.610, 0.500], [0.217, 0.217, 0.000], [0.330, 0.330, 0.000], [0.390, 0.890, 0.500], [0.463, 0.963, 0.500], [0.537, 0.037, 0.500], [0.610, 0.110, 0.500], [0.670, 0.670, 0.000], [0.783, 0.783, 0.000], [0.890, 0.390, 0.500], [0.963, 0.463, 0.500]]}



# 4
{"formula": "AlPd5I2", "functional": "GGA-PBE", "state": "relaxed", "spacegroup": "No. 139", "corrected_energy_ev_per_atom": -4.61, "cell": [[-2.050, 2.050, 10.385], [2.050, -2.050, 10.385], [2.050, 2.050, -10.385]], "species": ["Al", "Pd", "Pd", "Pd", "Pd", "Pd", "I", "I"], "fractional_positions": [[0.000, 0.000, 0.000], [0.085, 0.585, 0.500], [0.415, 0.915, 0.500], [0.500, 0.500, 0.000], [0.585, 0.085, 0.500], [0.915, 0.415, 0.500], [0.325, 0.325, 0.000], [0.675, 0.675, 0.000]]}



# 5
{"formula": "V3Os", "functional": "GGA-PBE", "state": "relaxed", "spacegroup": "No. 225", "cell": [[0.000, 3.001, 3.001], [3.001, 0.000, 3.001], [3.001, 3.001, 0.000]], "species": ["V", "V", "V", "Os"], "fractional_positions": [[0.000, 0.000, 0.000], [0.250, 0.250, 0.250], [0.750, 0.750, 0.750], [0.500, 0.500, 0.500]]}



# 6
{"formula": "TcPt3", "functional": "GGA-PBE", "state": "relaxed", "spacegroup": "No. 139", "cell": [[-1.958, 1.958, 3.991], [1.958, -1.958, 3.991], [1.958, 1.958, -3.991]], "species": ["Tc", "Pt", "Pt", "Pt"], "fractional_positions": [[0.000, 0.000, 0.000], [0.250, 0.750, 0.500], [0.500, 0.500, 0.000], [0.750, 0.250, 0.500]]}



For the records above, the corresponding ΔE_f values read -3042; -2646; -2060; -524; -356; -96 meV per atom.